[1]
## DyP5O14 (r²SCAN)

Data for crystalline DyP5O14 at its relaxed geometry.

## Properties
Total DFT energy (no corrections) ... -10.605 eV per atom
Calculated formation energy ... -2.5745 eV/atom
SG ... C2/c (15)

a b c (Å): 9.062 9.062 12.405
angles (deg): 90.88 90.88 89.57
Positions (direct):
1 Dy 0.021 0.979 0.750
2 Dy 0.469 0.531 0.750
3 Dy 0.531 0.469 0.250
4 Dy 0.979 0.021 0.250
5 P 0.019 0.683 0.397
6 P 0.072 0.573 0.740
7 P 0.113 0.181 0.998
8 P 0.181 0.113 0.498
9 P 0.181 0.455 0.109
10 P 0.317 0.981 0.103
11 P 0.324 0.626 0.467
12 P 0.374 0.676 0.033
13 P 0.427 0.928 0.760
14 P 0.455 0.181 0.609
15 P 0.545 0.819 0.391
16 P 0.573 0.072 0.240
17 P 0.626 0.324 0.967
18 P 0.676 0.374 0.533
19 P 0.683 0.019 0.897
20 P 0.819 0.545 0.891
21 P 0.819 0.887 0.502
22 P 0.887 0.819 0.002
23 P 0.928 0.427 0.260
24 P 0.981 0.317 0.603
25 O 0.008 0.481 0.637
26 O 0.012 0.143 0.086
27 O 0.031 0.484 0.164
28 O 0.039 0.783 0.308
29 O 0.041 0.729 0.716
30 O 0.077 0.151 0.885
31 O 0.112 0.276 0.527
32 O 0.143 0.012 0.586
33 O 0.148 0.354 0.007
34 O 0.151 0.077 0.385
35 O 0.153 0.673 0.478
36 O 0.211 0.607 0.056
37 O 0.217 0.961 0.192
38 O 0.221 0.521 0.770
39 O 0.271 0.959 0.784
40 O 0.276 0.112 0.027
41 O 0.299 0.396 0.178
42 O 0.327 0.847 0.022
43 O 0.342 0.536 0.368
44 O 0.354 0.148 0.507
45 O 0.373 0.576 0.573
46 O 0.393 0.789 0.444
47 O 0.396 0.299 0.678
48 O 0.424 0.627 0.927
49 O 0.464 0.658 0.132
50 O 0.479 0.779 0.730
51 O 0.481 0.008 0.137
52 O 0.484 0.031 0.664
53 O 0.516 0.969 0.336
54 O 0.519 0.992 0.863
55 O 0.521 0.221 0.270
56 O 0.536 0.342 0.868
57 O 0.576 0.373 0.073
58 O 0.604 0.701 0.322
59 O 0.607 0.211 0.556
60 O 0.627 0.424 0.427
61 O 0.646 0.852 0.493
62 O 0.658 0.464 0.632
63 O 0.673 0.153 0.978
64 O 0.701 0.604 0.822
65 O 0.724 0.888 0.973
66 O 0.729 0.041 0.216
67 O 0.779 0.479 0.230
68 O 0.783 0.039 0.808
69 O 0.789 0.393 0.944
70 O 0.847 0.327 0.522
71 O 0.849 0.923 0.615
72 O 0.852 0.646 0.993
73 O 0.857 0.988 0.414
74 O 0.888 0.724 0.473
75 O 0.923 0.849 0.115
76 O 0.959 0.271 0.284
77 O 0.961 0.217 0.692
78 O 0.969 0.516 0.836
79 O 0.988 0.857 0.914
80 O 0.992 0.519 0.363

---

[2]
## DyPaO4 (r²SCAN)

Data for crystalline DyPaO4 at its relaxed geometry.

## Properties
Total DFT energy (no corrections) ... -26.194 eV per atom
Calculated formation energy ... -4.0726 eV/atom
SG ... P4/mmm (123)

a b c (Å): 3.788 3.788 5.360
angles (deg): 90.00 90.00 90.00
Positions (direct):
1 Dy 0.000 0.000 0.000
2 Pa 0.500 0.500 0.500
3 O 0.000 0.500 0.259
4 O 0.000 0.500 0.741
5 O 0.500 0.000 0.259
6 O 0.500 0.000 0.741